NiH44C12N8Cl2O10 | PBE with a Hubbard U | optimized geometry

## Properties
- total energy after the MP2020 corrections (eV/atom) = -5.429
- energy above the most stable polymorph in this dataset (eV/atom) = 0.129

POSCAR file:
```
NiH44C12N8Cl2O10
1.0
9.700 0.000 0.000
4.748 8.825 0.000
2.128 -0.543 10.206
Ni H C N Cl O
1 44 12 8 2 10
Direct
0.000 0.000 0.000
0.011 0.346 0.335
0.023 0.511 0.166
0.040 0.212 0.125
0.092 0.581 0.347
0.127 0.774 0.796
0.166 0.720 0.133
0.171 0.432 0.018
0.178 0.163 0.338
0.182 0.356 0.469
0.205 0.006 0.831
0.211 0.847 0.153
0.297 0.509 0.357
0.330 0.697 0.578
0.350 0.173 0.995
0.367 0.561 0.667
0.381 0.057 0.131
0.416 0.861 0.896
0.431 0.399 0.007
0.439 0.269 0.686
0.469 0.135 0.380
0.476 0.927 0.581
0.499 0.600 0.848
0.501 0.400 0.152
0.524 0.073 0.419
0.531 0.865 0.620
0.561 0.731 0.314
0.569 0.601 0.993
0.584 0.139 0.104
0.619 0.943 0.869
0.633 0.439 0.333
0.650 0.827 0.005
0.670 0.303 0.422
0.703 0.491 0.643
0.789 0.153 0.847
0.795 0.994 0.169
0.818 0.644 0.531
0.822 0.837 0.662
0.829 0.568 0.982
0.834 0.280 0.867
0.873 0.226 0.204
0.908 0.419 0.653
0.960 0.788 0.875
0.977 0.489 0.834
0.989 0.654 0.665
0.143 0.280 0.307
0.149 0.431 0.126
0.211 0.145 0.675
0.214 0.484 0.317
0.351 0.172 0.101
0.420 0.372 0.113
0.580 0.628 0.887
0.649 0.828 0.899
0.786 0.516 0.683
0.789 0.855 0.325
0.851 0.569 0.874
0.857 0.720 0.693
0.183 0.277 0.164
0.225 0.342 0.370
0.252 0.479 0.174
0.462 0.216 0.135
0.538 0.784 0.865
0.748 0.521 0.826
0.775 0.658 0.630
0.817 0.723 0.836
0.443 0.704 0.314
0.557 0.296 0.686
0.048 0.812 0.879
0.120 0.830 0.152
0.209 0.992 0.923
0.245 0.241 0.678
0.279 0.651 0.641
0.721 0.349 0.359
0.755 0.759 0.322
0.791 0.008 0.077
0.880 0.170 0.848
0.952 0.188 0.121
```